Record 1
# NdSnRh, relaxed, DFT r²SCAN
# * total energy: -243.13 eV per cell
# * calculated density: 9.099 g/cm3
data_NdSnRh
_chemical_formula_sum 'Nd3 Sn3 Rh3'
_space_group_name_H-M_alt 'P -6 2 m'
_space_group_IT_number 189
_space_group_name_Hall 'P -6 -2'
_cell_length_a 7.4440
_cell_length_b 7.4440
_cell_length_c 4.1739
_cell_angle_alpha 90.00
_cell_angle_beta 90.00
_cell_angle_gamma 120.00
loop_
_atom_site_label
_atom_site_fract_x
_atom_site_fract_y
_atom_site_fract_z
Nd1 0.0000 0.5866 0.0000
Sn1 0.0000 0.2490 0.5000
Rh1 0.0000 0.0000 0.0000
Rh2 0.3333 0.6667 0.5000

---

Record 2
# YbNdRh2, relaxed, DFT r²SCAN
# * total energy: -470.25 eV per cell
# * calculated density: 10.687 g/cm3
data_YbNdRh2
_chemical_formula_sum 'Yb4 Nd4 Rh8'
_space_group_name_H-M_alt 'F m -3 m'
_space_group_IT_number 225
_space_group_name_Hall '-F 4 2 3'
_cell_length_a 6.8761
_cell_length_b 6.8761
_cell_length_c 6.8761
_cell_angle_alpha 90.00
_cell_angle_beta 90.00
_cell_angle_gamma 90.00
loop_
_atom_site_label
_atom_site_fract_x
_atom_site_fract_y
_atom_site_fract_z
Yb1 0.0000 0.0000 0.0000
Nd1 0.0000 0.0000 0.5000
Rh1 0.2500 0.2500 0.2500

---

Record 3
# Nd5Ru2, relaxed, DFT r²SCAN
# * total energy: -798.39 eV per cell
# * calculated density: 7.719 g/cm3
data_Nd5Ru2
_chemical_formula_sum 'Nd20 Ru8'
_space_group_name_H-M_alt 'C 1 2/c 1'
_space_group_IT_number 15
_space_group_name_Hall '-C 2yc'
_cell_length_a 16.4837
_cell_length_b 6.6177
_cell_length_c 7.3293
_cell_angle_alpha 90.00
_cell_angle_beta 96.39
_cell_angle_gamma 90.00
loop_
_atom_site_label
_atom_site_fract_x
_atom_site_fract_y
_atom_site_fract_z
Nd1 0.0000 0.0748 0.2500
Nd2 0.0928 0.3894 0.9091
Nd3 0.2157 0.0735 0.3141
Ru1 0.1109 0.2171 0.5726

---

Q: What is the formula in the second record?
A: YbNdRh2

---

Q: The highest calculated density belongs to which entry?
A: YbNdRh2